(1)
{"formula": "Na4Mg2P2SO12", "functional": "PBE", "state": "optimized geometry", "energy_ev_per_atom": -6.181, "formation_energy_kj_per_mol_fu": -5327, "cell": [[9.0355, 0.0000, 0.0000], [-4.5178, 7.7846, 0.0035], [0.0000, 0.0116, 21.9503]], "species": ["Mg", "Mg", "Mg", "Mg", "Mg", "Mg", "Mg", "Mg", "Mg", "Mg", "Mg", "Mg", "S", "S", "S", "S", "S", "S", "O", "O", "O", "O", "O", "O", "O", "O", "O", "O", "O", "O", "O", "O", "O", "O", "O", "O", "O", "O", "O", "O", "O", "O", "O", "O", "O", "O", "O", "O", "O", "O", "O", "O", "O", "O", "O", "O", "O", "O", "O", "O", "O", "O", "O", "O", "O", "O", "O", "O", "O", "O", "O", "O", "O", "O", "O", "O", "O", "O", "O", "O", "O", "O", "O", "O", "O", "O", "O", "O", "O", "O", "P", "P", "P", "P", "P", "P", "P", "P", "P", "P", "P", "P", "Na", "Na", "Na", "Na", "Na", "Na", "Na", "Na", "Na", "Na", "Na", "Na", "Na", "Na", "Na", "Na", "Na", "Na", "Na", "Na", "Na", "Na", "Na", "Na"], "frac_coords": [[0.6673, 0.3350, 0.1823], [0.0010, 0.0016, 0.3489], [0.6793, 0.3385, 0.4843], [0.6592, 0.3385, 0.9843], [0.3259, 0.6718, 0.3176], [0.3460, 0.6718, 0.8176], [0.3343, 0.6683, 0.0156], [0.9925, 0.0052, 0.6510], [0.3340, 0.6683, 0.5156], [0.0126, 0.0052, 0.1510], [0.0006, 0.0016, 0.8489], [0.6677, 0.3350, 0.6823], [0.7047, 0.7053, 0.2499], [0.0006, 0.7053, 0.7499], [0.3339, 0.3719, 0.4166], [0.6672, 0.0386, 0.0832], [0.0380, 0.3719, 0.9166], [0.3714, 0.0386, 0.5832], [0.4508, 0.1460, 0.5283], [0.1852, 0.9688, 0.1936], [0.6850, 0.1647, 0.7443], [0.1472, 0.6963, 0.4740], [0.1452, 0.6516, 0.0785], [0.8643, 0.3510, 0.9224], [0.1859, 0.1734, 0.0882], [0.3036, 0.8499, 0.9737], [0.8397, 0.3182, 0.2452], [0.4806, 0.3629, 0.1407], [0.3208, 0.8401, 0.2549], [0.5490, 0.6963, 0.9740], [0.0205, 0.1987, 0.9115], [0.6369, 0.5165, 0.6404], [0.5200, 0.8771, 0.3593], [0.1443, 0.4525, 0.9712], [0.5185, 0.6354, 0.8603], [0.9703, 0.1832, 0.3070], [0.8324, 0.8091, 0.5884], [0.1866, 0.2105, 0.6927], [0.8526, 0.5067, 0.4216], [0.3517, 0.4980, 0.0776], [0.4503, 0.3021, 0.0269], [0.3618, 0.4793, 0.3616], [0.9875, 0.1734, 0.5882], [0.6905, 0.5438, 0.5260], [0.5115, 0.8654, 0.0782], [0.0285, 0.8126, 0.6949], [0.8518, 0.3021, 0.5269], [0.0239, 0.2105, 0.1927], [0.1977, 0.0177, 0.5891], [0.5064, 0.6516, 0.5785], [0.5193, 0.8401, 0.7549], [0.8449, 0.5321, 0.7448], [0.3572, 0.8771, 0.8593], [0.4867, 0.3510, 0.4224], [0.1169, 0.6354, 0.3603], [0.8796, 0.5165, 0.1404], [0.9748, 0.7858, 0.8046], [0.8139, 0.0296, 0.8073], [0.5310, 0.6843, 0.2558], [0.3539, 0.8654, 0.5782], [0.2129, 0.1832, 0.8070], [0.1730, 0.9849, 0.9118], [0.3081, 0.4525, 0.4712], [0.3101, 0.4758, 0.7551], [0.1533, 0.6843, 0.7558], [0.6872, 0.5321, 0.2448], [0.7842, 0.8126, 0.1949], [0.4777, 0.1191, 0.6379], [0.1782, 0.1987, 0.4115], [0.6434, 0.1425, 0.4217], [0.1175, 0.4793, 0.8616], [0.1657, 0.4758, 0.2551], [0.8130, 0.8314, 0.9110], [0.8119, 0.9849, 0.4118], [0.7836, 0.9688, 0.6936], [0.2157, 0.0296, 0.3073], [0.4797, 0.1647, 0.2443], [0.8200, 0.0177, 0.0891], [0.6415, 0.1191, 0.1379], [0.8110, 0.7858, 0.3046], [0.5463, 0.8499, 0.4737], [0.9768, 0.8091, 0.0884], [0.4785, 0.3182, 0.7452], [0.4990, 0.1425, 0.9217], [0.8824, 0.3629, 0.6407], [0.6541, 0.5067, 0.9216], [0.6951, 0.1460, 0.0283], [0.8533, 0.5438, 0.0260], [0.0183, 0.8314, 0.4110], [0.1464, 0.4980, 0.5776], [0.2987, 0.0009, 0.2502], [0.6320, 0.6676, 0.9169], [0.0356, 0.6676, 0.4169], [0.7022, 0.0009, 0.7502], [0.6292, 0.9623, 0.4167], [0.3331, 0.9623, 0.9167], [0.6664, 0.6289, 0.5834], [0.9998, 0.2956, 0.2500], [0.3689, 0.3343, 0.0836], [0.9654, 0.3343, 0.5836], [0.9625, 0.6289, 0.0834], [0.2958, 0.2956, 0.7500], [0.0218, 0.6872, 0.5798], [0.6742, 0.9662, 0.5819], [0.7062, 0.6736, 0.4214], [0.2920, 0.9662, 0.0819], [0.3409, 0.2995, 0.9152], [0.0396, 0.3402, 0.0881], [0.6253, 0.6328, 0.7486], [0.6724, 0.3255, 0.3333], [0.6531, 0.3255, 0.8333], [0.3321, 0.0205, 0.4131], [0.9586, 0.2995, 0.4152], [0.9987, 0.3538, 0.7464], [0.6340, 0.0069, 0.2548], [0.3551, 0.3538, 0.2464], [0.9864, 0.9922, 0.5000], [0.0075, 0.6328, 0.2486], [0.0058, 0.9922, 0.0000], [0.3729, 0.0069, 0.7548], [0.6654, 0.6872, 0.0798], [0.3007, 0.3402, 0.5881], [0.3391, 0.6588, 0.6666], [0.6884, 0.0205, 0.9131], [0.3197, 0.6588, 0.1666], [0.9673, 0.6736, 0.9214]]}

***

(2)
{"formula": "Na3Mg2PS2O12", "functional": "PBE", "state": "optimized geometry", "energy_ev_per_atom": -6.090, "formation_energy_kj_per_mol_fu": -4806, "cell": [[7.7421, -4.4686, 0.0000], [7.7421, 4.4686, 0.0000], [-0.0830, 0.0000, 21.9229]], "species": ["Na", "Na", "Na", "Na", "Na", "Na", "Na", "Na", "Na", "Na", "Na", "Na", "Na", "Na", "Na", "Na", "Na", "Na", "Mg", "Mg", "Mg", "Mg", "Mg", "Mg", "Mg", "Mg", "Mg", "Mg", "Mg", "Mg", "P", "P", "P", "P", "P", "P", "S", "S", "S", "S", "S", "S", "S", "S", "S", "S", "S", "S", "O", "O", "O", "O", "O", "O", "O", "O", "O", "O", "O", "O", "O", "O", "O", "O", "O", "O", "O", "O", "O", "O", "O", "O", "O", "O", "O", "O", "O", "O", "O", "O", "O", "O", "O", "O", "O", "O", "O", "O", "O", "O", "O", "O", "O", "O", "O", "O", "O", "O", "O", "O", "O", "O", "O", "O", "O", "O", "O", "O", "O", "O", "O", "O", "O", "O", "O", "O", "O", "O", "O", "O"], "frac_coords": [[0.1316, 0.8684, 0.5000], [0.1383, 0.5093, 0.0135], [0.1578, 0.1608, 0.4224], [0.1608, 0.1578, 0.9224], [0.1654, 0.7967, 0.1722], [0.1877, 0.8398, 0.8478], [0.1935, 0.4801, 0.3308], [0.4801, 0.1935, 0.8308], [0.4829, 0.5092, 0.2560], [0.5093, 0.1383, 0.5135], [0.5092, 0.4829, 0.7560], [0.5265, 0.8148, 0.6706], [0.7967, 0.1654, 0.6722], [0.8148, 0.5265, 0.1706], [0.8188, 0.8416, 0.0890], [0.8398, 0.1877, 0.3478], [0.8416, 0.8188, 0.5890], [0.8684, 0.1316, 0.0000], [0.1594, 0.1781, 0.5726], [0.1609, 0.1761, 0.7723], [0.1761, 0.1609, 0.2723], [0.1781, 0.1594, 0.0726], [0.4906, 0.5018, 0.1061], [0.5018, 0.4906, 0.6061], [0.5027, 0.5062, 0.9058], [0.5062, 0.5027, 0.4058], [0.8316, 0.8390, 0.7395], [0.8359, 0.8365, 0.4383], [0.8365, 0.8359, 0.9383], [0.8390, 0.8316, 0.2395], [0.1385, 0.8337, 0.3389], [0.1677, 0.4638, 0.1729], [0.2005, 0.8020, 0.0052], [0.4638, 0.1677, 0.6729], [0.8020, 0.2005, 0.5052], [0.8337, 0.1385, 0.8389], [0.1285, 0.5366, 0.8406], [0.1697, 0.8676, 0.6724], [0.2037, 0.5005, 0.5035], [0.4682, 0.8688, 0.1721], [0.5005, 0.2037, 0.0035], [0.5023, 0.7967, 0.5083], [0.5366, 0.1285, 0.3406], [0.5392, 0.8309, 0.8377], [0.7967, 0.5023, 0.0083], [0.8309, 0.5392, 0.3377], [0.8676, 0.1697, 0.1724], [0.8688, 0.4682, 0.6721], [0.0009, 0.1502, 0.8335], [0.0005, 0.6489, 0.1745], [0.0153, 0.8468, 0.6771], [0.0160, 0.8190, 0.0030], [0.0240, 0.8601, 0.3958], [0.0274, 0.6541, 0.4993], [0.0338, 0.6466, 0.7883], [0.0362, 0.6125, 0.8984], [0.0500, 0.8077, 0.2818], [0.1436, 0.9767, 0.6179], [0.1480, 0.3736, 0.1156], [0.1502, 0.0009, 0.3335], [0.1583, 0.3579, 0.8356], [0.1715, 0.9885, 0.0096], [0.1765, 0.3642, 0.2315], [0.1908, 0.9521, 0.7277], [0.1939, 0.3403, 0.5102], [0.2893, 0.5300, 0.5563], [0.2898, 0.6905, 0.0620], [0.3013, 0.7141, 0.9464], [0.3033, 0.5234, 0.8415], [0.3045, 0.4793, 0.4471], [0.3180, 0.6678, 0.3447], [0.3262, 0.4911, 0.1698], [0.3296, 0.6966, 0.6668], [0.3403, 0.1939, 0.0102], [0.3451, 0.9745, 0.5100], [0.3579, 0.1583, 0.3356], [0.3584, 0.9509, 0.2261], [0.3642, 0.1765, 0.7315], [0.3640, 0.9920, 0.8369], [0.3736, 0.1480, 0.6156], [0.3873, 0.9659, 0.1164], [0.4783, 0.7075, 0.4560], [0.4793, 0.3045, 0.9471], [0.4911, 0.3262, 0.6698], [0.4916, 0.6896, 0.1685], [0.5104, 0.6815, 0.8425], [0.5164, 0.7045, 0.5660], [0.5234, 0.3033, 0.3415], [0.5300, 0.2893, 0.0563], [0.6125, 0.0362, 0.3984], [0.6313, 0.8150, 0.7799], [0.6343, 0.8460, 0.8900], [0.6437, 0.8475, 0.1782], [0.6466, 0.0338, 0.2883], [0.6489, 0.0005, 0.6745], [0.6541, 0.0274, 0.9993], [0.6564, 0.8182, 0.5024], [0.6678, 0.3180, 0.8447], [0.6815, 0.5104, 0.3425], [0.6896, 0.4916, 0.6685], [0.6905, 0.2898, 0.5620], [0.6966, 0.3296, 0.1668], [0.7045, 0.5164, 0.0660], [0.7075, 0.4783, 0.9560], [0.7141, 0.3013, 0.4464], [0.8077, 0.0500, 0.7818], [0.8150, 0.6313, 0.2799], [0.8182, 0.6564, 0.0024], [0.8190, 0.0160, 0.5030], [0.8460, 0.6343, 0.3900], [0.8468, 0.0153, 0.1771], [0.8475, 0.6437, 0.6782], [0.8601, 0.0240, 0.8958], [0.9509, 0.3584, 0.7261], [0.9521, 0.1908, 0.2277], [0.9659, 0.3873, 0.6164], [0.9745, 0.3451, 0.0100], [0.9767, 0.1436, 0.1179], [0.9885, 0.1715, 0.5096], [0.9920, 0.3640, 0.3369]]}

***

(3)
{"formula": "Na7Mg4P3S3O24", "functional": "PBE", "state": "optimized geometry", "energy_ev_per_atom": -6.133, "formation_energy_kj_per_mol_fu": -10118, "cell": [[8.9478, 0.0000, 0.0000], [4.4685, 7.7574, 0.0000], [0.0217, 0.0668, 22.1087]], "species": ["Na", "Na", "Na", "Na", "Na", "Na", "Na", "Na", "Na", "Na", "Na", "Na", "Na", "Na", "Na", "Na", "Na", "Na", "Na", "Na", "Na", "Mg", "Mg", "Mg", "Mg", "Mg", "Mg", "Mg", "Mg", "Mg", "Mg", "Mg", "Mg", "P", "P", "P", "P", "P", "P", "P", "P", "P", "S", "S", "S", "S", "S", "S", "S", "S", "S", "O", "O", "O", "O", "O", "O", "O", "O", "O", "O", "O", "O", "O", "O", "O", "O", "O", "O", "O", "O", "O", "O", "O", "O", "O", "O", "O", "O", "O", "O", "O", "O", "O", "O", "O", "O", "O", "O", "O", "O", "O", "O", "O", "O", "O", "O", "O", "O", "O", "O", "O", "O", "O", "O", "O", "O", "O", "O", "O", "O", "O", "O", "O", "O", "O", "O", "O", "O", "O", "O", "O", "O"], "frac_coords": [[0.0000, 0.0000, 0.0000], [0.0008, 0.6369, 0.7464], [0.0096, 0.6367, 0.2467], [0.0120, 0.2655, 0.4977], [0.0284, 0.3113, 0.8262], [0.0452, 0.9310, 0.3296], [0.3060, 0.3122, 0.3284], [0.3316, 0.6051, 0.1667], [0.3364, 0.3286, 0.6608], [0.3410, 0.9620, 0.4124], [0.3503, 0.9636, 0.9130], [0.3610, 0.6376, 0.4927], [0.6385, 0.0092, 0.4997], [0.6405, 0.6432, 0.9917], [0.6624, 0.2920, 0.0791], [0.6697, 0.9318, 0.8301], [0.6750, 0.2942, 0.5796], [0.7018, 0.9778, 0.1590], [0.7095, 0.6062, 0.6672], [0.9662, 0.9771, 0.6594], [0.9828, 0.3265, 0.1634], [0.0043, 0.6392, 0.5954], [0.0069, 0.6433, 0.0961], [0.0131, 0.6366, 0.3973], [0.3312, 0.9830, 0.5638], [0.3373, 0.9664, 0.2620], [0.3389, 0.9834, 0.0635], [0.3443, 0.9654, 0.7623], [0.6617, 0.3074, 0.9295], [0.6643, 0.3085, 0.4293], [0.6646, 0.3058, 0.2300], [0.6745, 0.3063, 0.7302], [0.9982, 0.6418, 0.8968], [0.0041, 0.9345, 0.4961], [0.0416, 0.2668, 0.6639], [0.0424, 0.9726, 0.1626], [0.2994, 0.3426, 0.4964], [0.3370, 0.2658, 0.1643], [0.3772, 0.6026, 0.3298], [0.6337, 0.9714, 0.6632], [0.6686, 0.6004, 0.8305], [0.7069, 0.9354, 0.9961], [0.0062, 0.3432, 0.9961], [0.2983, 0.6365, 0.9965], [0.3374, 0.6795, 0.6627], [0.3762, 0.3078, 0.8292], [0.6304, 0.6786, 0.1624], [0.6711, 0.0079, 0.3299], [0.7121, 0.6379, 0.4963], [0.9615, 0.3083, 0.3297], [0.9669, 0.0097, 0.8301], [0.0199, 0.8104, 0.1578], [0.0241, 0.4491, 0.6577], [0.0307, 0.4239, 0.9414], [0.0309, 0.8238, 0.4394], [0.1214, 0.1540, 0.6074], [0.1247, 0.0012, 0.1055], [0.1384, 0.9970, 0.8234], [0.1387, 0.1511, 0.3256], [0.1542, 0.1830, 0.7206], [0.1554, 0.9410, 0.2191], [0.1566, 0.1663, 0.0011], [0.1709, 0.9483, 0.5019], [0.1715, 0.4484, 0.1569], [0.1813, 0.6597, 0.6574], [0.1844, 0.4234, 0.4401], [0.1879, 0.6631, 0.9435], [0.1924, 0.6194, 0.3336], [0.1998, 0.4615, 0.8362], [0.2173, 0.4552, 0.5529], [0.2222, 0.6113, 0.0522], [0.3065, 0.1873, 0.2224], [0.3081, 0.7894, 0.7154], [0.3147, 0.7958, 0.0013], [0.3225, 0.1581, 0.5013], [0.3504, 0.7877, 0.3247], [0.3551, 0.1509, 0.8249], [0.3678, 0.7546, 0.6074], [0.3716, 0.1482, 0.1103], [0.4529, 0.3310, 0.7733], [0.4602, 0.4891, 0.2734], [0.4757, 0.4852, 0.9909], [0.4821, 0.3244, 0.4907], [0.4831, 0.5176, 0.3872], [0.4878, 0.2769, 0.8817], [0.4922, 0.5035, 0.6693], [0.4986, 0.2898, 0.1692], [0.5104, 0.7856, 0.8254], [0.5118, 0.9963, 0.3233], [0.5227, 0.9995, 0.6062], [0.5247, 0.7527, 0.1074], [0.5290, 0.9452, 0.0019], [0.5356, 0.7920, 0.5022], [0.5517, 0.7887, 0.2151], [0.5521, 0.9397, 0.7196], [0.6442, 0.1159, 0.3841], [0.6489, 0.5138, 0.8879], [0.6499, 0.1370, 0.6694], [0.6518, 0.5022, 0.1695], [0.6954, 0.1144, 0.9896], [0.6946, 0.4808, 0.4902], [0.6986, 0.4881, 0.7738], [0.7020, 0.0872, 0.2755], [0.7922, 0.8219, 0.9395], [0.7933, 0.6677, 0.4433], [0.8075, 0.6568, 0.1562], [0.8160, 0.6093, 0.5517], [0.8178, 0.8094, 0.6578], [0.8211, 0.8510, 0.0529], [0.8271, 0.8345, 0.3362], [0.8370, 0.6170, 0.8344], [0.8432, 0.1195, 0.4897], [0.8464, 0.3275, 0.9910], [0.8572, 0.0883, 0.7758], [0.8574, 0.2887, 0.6690], [0.8598, 0.1376, 0.1692], [0.8603, 0.3282, 0.2746], [0.8817, 0.2797, 0.3839], [0.8863, 0.1179, 0.8843], [0.9707, 0.8541, 0.5528], [0.9789, 0.4506, 0.0504], [0.9826, 0.4628, 0.3351], [0.9845, 0.8359, 0.8363]]}